## RbCrF6 (r2SCAN)

Data for a geometry-optimized RbCrF6 structure.

DFT formation energy (eV per atom): -2.65
Volume (Å³ per cell): 117.6
Size of the total moment (μB/cell): 1.0
Calculated density (g/cm³): 3.55
Calculated total energy (eV per atom): -8.625

Lattice parameters (Å, degrees): 4.942 4.942 4.942 97.21 97.21 97.21
Atoms (fractional coordinates):
1 F 0.298 0.581 0.206
2 F 0.419 0.794 0.702
3 F 0.794 0.702 0.419
4 F 0.206 0.298 0.581
5 F 0.702 0.419 0.794
6 F 0.581 0.206 0.298
7 Rb 0.000 0.000 0.000
8 Cr 0.500 0.500 0.500